# Ca3La5Mn7NiO24

A relaxed Ca3La5Mn7NiO24 crystal (GGA+U, the Materials Project database).

* E_tot: -7.50 eV per atom
* energy relative to the elements: -64.21 kcal/mol of atoms
* space group: P1
* total magnetization: 26.0 Bohr magnetons per cell

a = 5.495 Å, b = 7.784 Å, c = 11.059 Å
α = 90.01°, β = 90.09°, γ = 90.00°
Fractional positions:
1 Ca 0.000 0.000 0.000
2 Ca 0.029 0.497 0.457
3 Ca 0.502 0.499 0.212
4 La 0.007 0.000 0.495
5 La 0.018 0.496 0.968
6 La 0.508 0.494 0.713
7 La 0.516 0.998 0.241
8 La 0.520 0.002 0.749
9 Mn 0.012 0.744 0.230
10 Mn 0.013 0.252 0.230
11 Mn 0.014 0.749 0.730
12 Mn 0.512 0.253 0.477
13 Mn 0.513 0.742 0.477
14 Mn 0.513 0.751 0.982
15 Mn 0.515 0.247 0.982
16 Ni 0.013 0.249 0.730
17 O 0.078 0.000 0.228
18 O 0.085 0.991 0.718
19 O 0.231 0.711 0.091
20 O 0.234 0.286 0.091
21 O 0.235 0.704 0.587
22 O 0.239 0.288 0.583
23 O 0.297 0.708 0.338
24 O 0.298 0.711 0.839
25 O 0.299 0.289 0.336
26 O 0.303 0.285 0.843
27 O 0.433 0.000 0.979
28 O 0.445 0.999 0.471
29 O 0.580 0.498 0.986
30 O 0.599 0.497 0.489
31 O 0.723 0.210 0.617
32 O 0.732 0.786 0.118
33 O 0.732 0.788 0.621
34 O 0.734 0.209 0.120
35 O 0.786 0.209 0.875
36 O 0.791 0.788 0.369
37 O 0.792 0.208 0.369
38 O 0.793 0.793 0.871
39 O 0.933 0.496 0.233
40 O 0.945 0.507 0.744

=====

# Li2FeNi3O8

A relaxed Li2FeNi3O8 crystal (GGA+U, the Materials Project database).

* E_tot: -5.13 eV per atom
* distance to the lowest polymorph of the same formula: 43 meV/atom
* energy relative to the elements: -29.59 kcal/mol of atoms
* space group: C2/m
* total magnetization: 6.0 Bohr magnetons per cell

a = 5.850 Å, b = 5.850 Å, c = 5.862 Å
α = 119.53°, β = 119.53°, γ = 58.55°
Fractional positions:
1 Li 0.000 0.500 0.000
2 Li 0.500 0.000 0.000
3 Fe 0.000 0.000 0.500
4 Ni 0.000 0.500 0.500
5 Ni 0.500 0.000 0.500
6 Ni 0.500 0.500 0.500
7 O 0.226 0.226 0.713
8 O 0.251 0.747 0.285
9 O 0.253 0.749 0.715
10 O 0.277 0.277 0.297
11 O 0.723 0.723 0.703
12 O 0.747 0.251 0.285
13 O 0.749 0.253 0.715
14 O 0.774 0.774 0.287

=====

# MgW2O4

A relaxed MgW2O4 crystal (GGA+U, the Materials Project database).

* E_tot: -6.83 eV per atom
* distance to the lowest polymorph of the same formula: 182 meV/atom
* energy relative to the elements: -39.87 kcal/mol of atoms
* space group: Pmmn
* total magnetization: 24.0 Bohr magnetons per cell

a = 6.490 Å, b = 10.482 Å, c = 5.582 Å
α = 90.00°, β = 90.00°, γ = 90.00°
Fractional positions:
1 Mg 0.250 0.250 0.047
2 Mg 0.250 0.750 0.356
3 Mg 0.750 0.250 0.644
4 Mg 0.750 0.750 0.953
5 W 0.000 0.000 0.500
6 W 0.000 0.500 0.500
7 W 0.250 0.522 0.981
8 W 0.250 0.978 0.981
9 W 0.500 0.000 0.500
10 W 0.500 0.500 0.500
11 W 0.750 0.022 0.019
12 W 0.750 0.478 0.019
13 O 0.005 0.113 0.836
14 O 0.005 0.387 0.836
15 O 0.250 0.097 0.295
16 O 0.250 0.403 0.295
17 O 0.250 0.616 0.626
18 O 0.250 0.884 0.626
19 O 0.495 0.113 0.836
20 O 0.495 0.387 0.836
21 O 0.505 0.613 0.164
22 O 0.505 0.887 0.164
23 O 0.750 0.116 0.374
24 O 0.750 0.384 0.374
25 O 0.750 0.597 0.705
26 O 0.750 0.903 0.705
27 O 0.995 0.613 0.164
28 O 0.995 0.887 0.164

=====

# Ba4Cr2MoWO12

A relaxed Ba4Cr2MoWO12 crystal (GGA+U, the Materials Project database).

* E_tot: -7.22 eV per atom
* energy relative to the elements: -62.36 kcal/mol of atoms
* space group: C2/m
* total magnetization: 4.0 Bohr magnetons per cell

a = 5.770 Å, b = 5.770 Å, c = 10.063 Å
α = 106.56°, β = 106.56°, γ = 60.03°
Fractional positions:
1 Ba 0.123 0.123 0.368
2 Ba 0.373 0.373 0.118
3 Ba 0.627 0.627 0.882
4 Ba 0.877 0.877 0.632
5 Cr 0.251 0.251 0.753
6 Cr 0.749 0.749 0.247
7 Mo 0.000 0.000 0.000
8 W 0.500 0.500 0.500
9 O 0.123 0.621 0.869
10 O 0.124 0.124 0.869
11 O 0.138 0.622 0.381
12 O 0.378 0.378 0.619
13 O 0.378 0.862 0.619
14 O 0.379 0.877 0.131
15 O 0.621 0.123 0.869
16 O 0.622 0.138 0.381
17 O 0.622 0.622 0.381
18 O 0.862 0.378 0.619
19 O 0.876 0.876 0.131
20 O 0.877 0.379 0.131

=====

# Na3CoF6

A relaxed Na3CoF6 crystal (GGA+U, the Materials Project database).

* E_tot: -4.42 eV per atom
* distance to the lowest polymorph of the same formula: 61 meV/atom
* energy relative to the elements: -59.97 kcal/mol of atoms
* space group: Fm-3m
* total magnetization: 0.0 Bohr magnetons per cell

a = 5.791 Å, b = 5.791 Å, c = 5.791 Å
α = 60.00°, β = 60.00°, γ = 60.00°
Fractional positions:
1 Na 0.000 0.000 0.000
2 Na 0.250 0.250 0.250
3 Na 0.750 0.750 0.750
4 Co 0.500 0.500 0.500
5 F 0.266 0.266 0.734
6 F 0.266 0.734 0.266
7 F 0.266 0.734 0.734
8 F 0.734 0.266 0.266
9 F 0.734 0.266 0.734
10 F 0.734 0.734 0.266

=====

# Li2TiCr3O8

A relaxed Li2TiCr3O8 crystal (GGA+U, the Materials Project database).

* E_tot: -7.41 eV per atom
* distance to the lowest polymorph of the same formula: 68 meV/atom
* energy relative to the elements: -57.68 kcal/mol of atoms
* total magnetization: 0.0 Bohr magnetons per cell

a = 5.920 Å, b = 10.465 Å, c = 5.918 Å
α = 89.87°, β = 119.85°, γ = 106.43°
Fractional positions:
1 O 0.733 0.603 0.358
2 O 0.277 0.900 0.628
3 O 0.756 0.892 0.633
4 O 0.733 0.103 0.858
5 O 0.267 0.397 0.642
6 O 0.761 0.394 0.626
7 O 0.244 0.608 0.867
8 O 0.761 0.894 0.126
9 O 0.723 0.600 0.872
10 O 0.239 0.106 0.874
11 O 0.244 0.108 0.367
12 O 0.723 0.100 0.372
13 O 0.239 0.606 0.374
14 O 0.277 0.400 0.128
15 O 0.267 0.897 0.142
16 O 0.756 0.392 0.133
17 Li 0.500 0.750 0.250
18 Li 0.500 0.250 0.250
19 Li 0.500 0.750 0.750
20 Li 0.500 0.250 0.750
21 Ti 0.000 0.000 0.000
22 Ti 0.000 0.500 0.500
23 Cr 0.500 0.500 0.500
24 Cr 0.000 0.500 0.000
25 Cr 0.500 0.000 0.000
26 Cr 0.500 0.500 0.000
27 Cr 0.500 0.000 0.500
28 Cr 0.000 0.000 0.500

=====

# LiPWO4F

A relaxed LiPWO4F crystal (GGA+U, the Materials Project database).

* E_tot: -6.81 eV per atom
* energy relative to the elements: -58.09 kcal/mol of atoms
* space group: P-1
* total magnetization: 6.0 Bohr magnetons per cell

a = 5.286 Å, b = 5.636 Å, c = 7.674 Å
α = 106.78°, β = 108.12°, γ = 97.32°
Fractional positions:
1 Li 0.228 0.400 0.329
2 Li 0.772 0.600 0.671
3 P 0.182 0.368 0.732
4 P 0.818 0.632 0.268
5 W 0.500 0.000 0.000
6 W 0.500 0.000 0.500
7 O 0.116 0.744 0.417
8 O 0.185 0.651 0.830
9 O 0.255 0.228 0.877
10 O 0.381 0.352 0.614
11 O 0.619 0.648 0.386
12 O 0.745 0.772 0.123
13 O 0.815 0.349 0.170
14 O 0.884 0.256 0.583
15 F 0.348 0.084 0.236
16 F 0.652 0.916 0.764

=====

# BaCrF7

A relaxed BaCrF7 crystal (GGA+U, the Materials Project database).

* E_tot: -5.14 eV per atom
* energy relative to the elements: -67.89 kcal/mol of atoms
* space group: P2_1/c
* total magnetization: 5.7 Bohr magnetons per cell

a = 5.523 Å, b = 10.001 Å, c = 9.978 Å
α = 90.00°, β = 94.48°, γ = 90.00°
Fractional positions:
1 Ba 0.243 0.208 0.007
2 Ba 0.243 0.292 0.507
3 Ba 0.757 0.708 0.493
4 Ba 0.757 0.792 0.993
5 Cr 0.313 0.613 0.188
6 Cr 0.313 0.887 0.688
7 Cr 0.687 0.113 0.312
8 Cr 0.687 0.387 0.812
9 F 0.036 0.691 0.241
10 F 0.036 0.809 0.741
11 F 0.093 0.532 0.585
12 F 0.093 0.968 0.085
13 F 0.159 0.040 0.637
14 F 0.159 0.460 0.137
15 F 0.244 0.693 0.022
16 F 0.244 0.807 0.522
17 F 0.394 0.547 0.360
18 F 0.394 0.953 0.860
19 F 0.409 0.050 0.371
20 F 0.409 0.450 0.871
21 F 0.493 0.736 0.741
22 F 0.493 0.764 0.241
23 F 0.507 0.236 0.759
24 F 0.507 0.264 0.259
25 F 0.591 0.550 0.129
26 F 0.591 0.950 0.629
27 F 0.606 0.047 0.140
28 F 0.606 0.453 0.640
29 F 0.756 0.193 0.478
30 F 0.756 0.307 0.978
31 F 0.841 0.540 0.863
32 F 0.841 0.960 0.363
33 F 0.907 0.032 0.915
34 F 0.907 0.468 0.415
35 F 0.964 0.191 0.259
36 F 0.964 0.309 0.759

=====

- What is the total magnetization in the second record?
  6.0 Bohr magnetons per cell

=====

- Which of these has the highest E_tot?
  Na3CoF6

=====

- E_tot of number 3 (MgW2O4)?
  -6.83 eV per atom

=====

- What is the formula in the fourth record?
  Ba4Cr2MoWO12